(1)
A relaxed structure of BaH2Cl2O. Source: the Materials Project, functional GGA-PBE.

Lattice parameters (Å, degrees): 11.1367 4.6514 9.0929 90.00 90.00 90.00
Closest atoms and distances in Å follow each position.
Positions (direct):
Ba (0.1871, 0.2500, 0.1065)  2 O 2.83
Ba (0.3129, 0.7500, 0.6065)  2 O 2.83
Ba (0.6871, 0.2500, 0.3935)  2 O 2.83
Ba (0.8129, 0.7500, 0.8935)  2 O 2.83
H (0.0982, 0.2500, 0.6644)  1 O 0.98
H (0.1307, 0.2500, 0.5005)  1 O 0.98
H (0.3693, 0.7500, 0.0005)  1 O 0.98
H (0.4018, 0.7500, 0.1644)  1 O 0.98
H (0.5982, 0.2500, 0.8356)  1 O 0.98
H (0.6307, 0.2500, 0.9995)  1 O 0.98
H (0.8693, 0.7500, 0.4995)  1 O 0.98
H (0.9018, 0.7500, 0.3356)  1 O 0.98
Cl (0.1021, 0.7500, 0.8773)  3 H 3.03-3.18, 3 Ba 3.22-3.26, 1 O 3.26
Cl (0.1184, 0.7500, 0.3371)  1 H 2.41
Cl (0.3816, 0.2500, 0.8371)  1 H 2.41
Cl (0.3979, 0.2500, 0.3773)  3 H 3.03-3.18, 3 Ba 3.22-3.26, 1 O 3.26
Cl (0.6021, 0.7500, 0.6227)  3 H 3.03-3.18, 3 Ba 3.22-3.26, 1 O 3.26
Cl (0.6184, 0.7500, 0.1629)  1 H 2.41
Cl (0.8816, 0.2500, 0.6629)  1 H 2.41
Cl (0.8979, 0.2500, 0.1227)  3 H 3.03-3.18, 3 Ba 3.22-3.26, 1 O 3.26
O (0.1676, 0.2500, 0.5983)  2 H 0.98
O (0.3324, 0.7500, 0.0983)  2 H 0.98
O (0.6676, 0.2500, 0.9017)  2 H 0.98
O (0.8324, 0.7500, 0.4017)  2 H 0.98

Properties
crystal system: orthorhombic
SG: Pnma, No. 62
energy of formation: -182 kJ/mol of atoms
density: 3.190 Mg/m³
volume: 19.6 Å³/atom

=====

(2)
A relaxed structure of CdNi. Source: the Materials Project, functional GGA-PBE.

Lattice parameters (Å, degrees): 8.5755 8.5755 8.5755 60.00 60.00 60.00
Closest atoms and distances in Å follow each position.
Positions (direct):
Cd (0.1109, 0.1109, 0.6391)  4 Ni 2.53-2.64
Cd (0.1109, 0.6391, 0.1109)  4 Ni 2.53-2.64
Cd (0.1109, 0.6391, 0.6391)  4 Ni 2.53-2.64
Cd (0.3609, 0.3609, 0.8891)  4 Ni 2.53-2.64
Cd (0.3609, 0.8891, 0.3609)  4 Ni 2.53-2.64
Cd (0.3609, 0.8891, 0.8891)  4 Ni 2.53-2.64
Cd (0.6391, 0.1109, 0.1109)  4 Ni 2.53-2.64
Cd (0.6391, 0.1109, 0.6391)  4 Ni 2.53-2.64
Cd (0.6391, 0.6391, 0.1109)  4 Ni 2.53-2.64
Cd (0.8891, 0.3609, 0.3609)  4 Ni 2.53-2.64
Cd (0.8891, 0.3609, 0.8891)  4 Ni 2.53-2.64
Cd (0.8891, 0.8891, 0.3609)  4 Ni 2.53-2.64
Ni (0.0000, 0.0000, 0.0000)  6 Cd 2.53
Ni (0.0000, 0.0000, 0.5000)  6 Cd 2.53
Ni (0.0000, 0.5000, 0.0000)  6 Cd 2.53
Ni (0.3033, 0.3033, 0.3033)  3 Ni 2.46, 3 Cd 2.64
Ni (0.3033, 0.3033, 0.5902)  3 Ni 2.46, 3 Cd 2.64
Ni (0.3033, 0.5902, 0.3033)  3 Ni 2.46, 3 Cd 2.64
Ni (0.4098, 0.6967, 0.6967)  3 Ni 2.46, 3 Cd 2.64
Ni (0.5000, 0.0000, 0.0000)  6 Cd 2.53
Ni (0.5902, 0.3033, 0.3033)  3 Ni 2.46, 3 Cd 2.64
Ni (0.6967, 0.4098, 0.6967)  3 Ni 2.46, 3 Cd 2.64
Ni (0.6967, 0.6967, 0.4098)  3 Ni 2.46, 3 Cd 2.64
Ni (0.6967, 0.6967, 0.6967)  3 Ni 2.46, 3 Cd 2.64

Properties
crystal system: cubic
SG: Fd-3m, No. 227
energy of formation: 37 kJ/mol of atoms
density: 7.646 Mg/m³
volume: 18.6 Å³/atom

=====

(3)
A relaxed structure of CeNi12B6. Source: the Materials Project, functional GGA-PBE.

Lattice parameters (Å, degrees): 6.0386 6.0386 10.9836 90.00 90.00 75.19
Closest atoms and distances in Å follow each position.
Positions (direct):
Ce (0.1680, 0.8320, 0.5000)  14 Ni 3.01-3.29, 6 B 3.02-3.29
Ce (0.8320, 0.1680, 0.0000)  14 Ni 3.01-3.29, 6 B 3.02-3.29
Ni (0.0053, 0.6302, 0.9401)  4 B 2.02-2.11
Ni (0.1204, 0.1459, 0.7582)  3 B 2.02-2.09
Ni (0.1459, 0.1204, 0.2582)  3 B 2.02-2.09
Ni (0.1962, 0.5422, 0.7369)  4 B 1.99-2.10
Ni (0.2113, 0.5283, 0.2796)  3 B 2.06-2.14
Ni (0.2188, 0.7812, 0.1008)  3 B 2.00-2.08
Ni (0.2694, 0.3423, 0.0708)  4 B 2.01-2.10
Ni (0.3423, 0.2694, 0.5708)  4 B 2.01-2.10
Ni (0.3698, 0.9947, 0.9401)  4 B 2.02-2.11
Ni (0.4361, 0.5639, 0.9217)  3 B 2.10-2.21
Ni (0.4578, 0.8038, 0.7369)  4 B 1.99-2.10
Ni (0.4717, 0.7887, 0.2796)  3 B 2.06-2.14
Ni (0.5283, 0.2113, 0.7796)  3 B 2.06-2.14
Ni (0.5422, 0.1962, 0.2369)  4 B 1.99-2.10
Ni (0.5639, 0.4361, 0.4217)  3 B 2.10-2.21
Ni (0.6302, 0.0053, 0.4401)  4 B 2.02-2.11
Ni (0.6577, 0.7306, 0.0708)  4 B 2.01-2.10
Ni (0.7306, 0.6577, 0.5708)  4 B 2.01-2.10
Ni (0.7812, 0.2188, 0.6008)  3 B 2.00-2.08
Ni (0.7887, 0.4717, 0.7796)  3 B 2.06-2.14
Ni (0.8038, 0.4578, 0.2369)  4 B 1.99-2.10
Ni (0.8541, 0.8796, 0.7582)  3 B 2.02-2.09
Ni (0.8796, 0.8541, 0.2582)  3 B 2.02-2.09
Ni (0.9947, 0.3698, 0.4401)  4 B 2.02-2.11
B (0.0133, 0.3990, 0.6255)  7 Ni 1.99-2.14
B (0.1634, 0.8366, 0.8388)  7 Ni 2.02-2.21
B (0.2449, 0.3247, 0.8886)  7 Ni 2.01-2.11
B (0.3247, 0.2449, 0.3886)  7 Ni 2.01-2.11
B (0.3990, 0.0133, 0.1255)  7 Ni 1.99-2.14
B (0.4872, 0.5128, 0.1585)  7 Ni 2.05-2.11
B (0.5128, 0.4872, 0.6585)  7 Ni 2.05-2.11
B (0.6010, 0.9867, 0.6255)  7 Ni 1.99-2.14
B (0.6753, 0.7551, 0.8886)  7 Ni 2.01-2.11
B (0.7551, 0.6753, 0.3886)  7 Ni 2.01-2.11
B (0.8366, 0.1634, 0.3388)  7 Ni 2.02-2.21
B (0.9867, 0.6010, 0.1255)  7 Ni 1.99-2.14

Properties
crystal system: orthorhombic
SG: Cmc2_1, No. 36
energy of formation: -38 kJ/mol of atoms
density: 7.799 Mg/m³
volume: 10.2 Å³/atom

=====

(4)
A relaxed structure of CeAlCo. Source: the Materials Project, functional GGA-PBE.

Lattice parameters (Å, degrees): 8.3049 5.3674 5.3674 60.39 90.00 90.00
Closest atoms and distances in Å follow each position.
Positions (direct):
Ce (0.1676, 0.0000, 0.0000)  1 Ce 2.78, 6 Co 2.98-3.07, 1 Al 3.07
Ce (0.2837, 0.3372, 0.3372)  3 Co 2.81-2.84, 2 Al 3.11
Ce (0.7163, 0.3372, 0.3372)  3 Co 2.81-2.84, 2 Al 3.11
Ce (0.8324, 0.0000, 0.0000)  1 Ce 2.78, 6 Co 2.98-3.07, 1 Al 3.07
Al (0.2366, 0.6751, 0.6751)  4 Co 2.50-2.66, 2 Al 2.71
Al (0.5000, 0.3318, 0.8386)  2 Co 2.65-2.71, 4 Al 2.66-2.74
Al (0.5000, 0.8386, 0.3318)  2 Co 2.65-2.71, 4 Al 2.66-2.74
Al (0.7634, 0.6751, 0.6751)  4 Co 2.50-2.66, 2 Al 2.71
Co (0.0000, 0.0083, 0.5052)  2 Al 2.51, 4 Co 2.68-2.72
Co (0.0000, 0.5052, 0.0083)  2 Al 2.51, 4 Co 2.68-2.72
Co (0.0000, 0.5083, 0.5083)  2 Al 2.50, 4 Co 2.68-2.69
Co (0.5000, 0.8378, 0.8378)  6 Al 2.65-2.71

Properties
crystal system: orthorhombic
SG: Amm2, No. 38
energy of formation: -37 kJ/mol of atoms
density: 7.218 Mg/m³
volume: 17.3 Å³/atom

=====

(5)
A relaxed structure of NaLa2Hf2P3S3O24. Source: the Materials Project, functional GGA-PBE.

Lattice parameters (Å, degrees): 9.1680 9.1756 23.9674 90.09 90.04 119.96
Closest atoms and distances in Å follow each position.
Positions (direct):
Na (0.0000, 0.0000, 0.0000)  3 O 2.47-2.74
Na (0.0435, 0.0108, 0.4931)  5 O 2.59-2.87
Na (0.3613, 0.6638, 0.1630)  6 O 2.58-2.88
La (0.0119, 0.0212, 0.1446)  6 O 2.31-2.56
La (0.0141, 0.0093, 0.8453)  6 O 2.27-2.49
La (0.0294, 0.0127, 0.6419)  6 O 2.31-2.51
La (0.0322, 0.0253, 0.3398)  6 O 2.26-2.52
La (0.3483, 0.6803, 0.5266)  6 O 2.27-2.46
La (0.3570, 0.6809, 0.0217)  6 O 2.30-2.43
Hf (0.3546, 0.6880, 0.8175)  6 O 1.99-2.19
Hf (0.3629, 0.6903, 0.3131)  5 O 1.99-2.14
Hf (0.6807, 0.3470, 0.4708)  6 O 2.01-2.16
Hf (0.6892, 0.3549, 0.6802)  6 O 1.96-2.15
Hf (0.6895, 0.3500, 0.1830)  6 O 2.03-2.11
Hf (0.7027, 0.3552, 0.9729)  5 O 1.99-2.20
P (0.0598, 0.6738, 0.9135)  4 O 1.52-1.59
P (0.3358, 0.3353, 0.2447)  4 O 1.54-1.57
P (0.3622, 0.9751, 0.4147)  4 O 1.52-1.57
P (0.4111, 0.3380, 0.5773)  4 O 1.51-1.56
P (0.6416, 0.9812, 0.9141)  4 O 1.52-1.59
P (0.6956, 0.6253, 0.0784)  4 O 1.54-1.57
P (0.7053, 0.0122, 0.2458)  4 O 1.53-1.58
P (0.9516, 0.6241, 0.5769)  4 O 1.52-1.57
P (0.9632, 0.3452, 0.0791)  4 O 1.54-1.57
S (0.0261, 0.3336, 0.7453)  4 O 1.48-1.50
S (0.0278, 0.7006, 0.2454)  4 O 1.47-1.51
S (0.0561, 0.3947, 0.4133)  4 O 1.47-1.50
S (0.3393, 0.0129, 0.7462)  4 O 1.47-1.50
S (0.3695, 0.3950, 0.9113)  4 O 1.47-1.52
S (0.4132, 0.0790, 0.0788)  4 O 1.48-1.49
S (0.6429, 0.6733, 0.4133)  4 O 1.46-1.50
S (0.7003, 0.0845, 0.5782)  4 O 1.46-1.49
S (0.7011, 0.7000, 0.7454)  4 O 1.48-1.50
O (0.0247, 0.2200, 0.4076)  1 S 1.49
O (0.0312, 0.8235, 0.9041)  1 P 1.54
O (0.0659, 0.2593, 0.6968)  1 S 1.48
O (0.0702, 0.8133, 0.1970)  1 S 1.47
O (0.1223, 0.6348, 0.5788)  1 P 1.52
O (0.1354, 0.5070, 0.0832)  1 P 1.54
O (0.1433, 0.4978, 0.3630)  1 S 1.50
O (0.1560, 0.6557, 0.8613)  1 P 1.59
O (0.1591, 0.4673, 0.4635)  1 S 1.47
O (0.1666, 0.7042, 0.9653)  1 P 1.52
O (0.1739, 0.5004, 0.7593)  1 S 1.49
O (0.1765, 0.6779, 0.2578)  1 S 1.51
O (0.2119, 0.0048, 0.4075)  1 P 1.54
O (0.2143, 0.2605, 0.1949)  1 P 1.54
O (0.2250, 0.9693, 0.6975)  1 S 1.48
O (0.2255, 0.2238, 0.9020)  1 S 1.48
O (0.2338, 0.1790, 0.5779)  1 P 1.55
O (0.2438, 0.0620, 0.0776)  1 S 1.48
O (0.2665, 0.2202, 0.2959)  1 P 1.54
O (0.2712, 0.0600, 0.7942)  1 S 1.47
O (0.3348, 0.4623, 0.9619)  1 S 1.47
O (0.3369, 0.8696, 0.4667)  1 P 1.52
O (0.3563, 0.5113, 0.2599)  1 P 1.57
O (0.3570, 0.8635, 0.7599)  1 S 1.50
O (0.3790, 0.8796, 0.3627)  1 P 1.57
O (0.3846, 0.5045, 0.8617)  1 S 1.52
O (0.4010, 0.9118, 0.0822)  1 S 1.48
O (0.4072, 0.5010, 0.5773)  1 P 1.51
O (0.5019, 0.3258, 0.5240)  1 P 1.56
O (0.5031, 0.1709, 0.1300)  1 S 1.48
O (0.5039, 0.1681, 0.0272)  1 S 1.49
O (0.5049, 0.3342, 0.6312)  1 P 1.56
O (0.5094, 0.1550, 0.7322)  1 S 1.49
O (0.5116, 0.3627, 0.2300)  1 P 1.54
O (0.5262, 0.8575, 0.2596)  1 P 1.58
O (0.5270, 0.3892, 0.9165)  1 S 1.48
O (0.5281, 0.1488, 0.4218)  1 P 1.57
O (0.5278, 0.8818, 0.8618)  1 P 1.59
O (0.5343, 0.6793, 0.7598)  1 S 1.48
O (0.5348, 0.6389, 0.0825)  1 P 1.54
O (0.5363, 0.6540, 0.3630)  1 S 1.50
O (0.5471, 0.9198, 0.5794)  1 S 1.46
O (0.5682, 0.6989, 0.4635)  1 S 1.46
O (0.5701, 0.8708, 0.9655)  1 P 1.52
O (0.6452, 0.1504, 0.9215)  1 P 1.55
O (0.6502, 0.5137, 0.4184)  1 S 1.50
O (0.6764, 0.5293, 0.7323)  1 S 1.50
O (0.6796, 0.1610, 0.2311)  1 P 1.54
O (0.6897, 0.5268, 0.0242)  1 P 1.57
O (0.6988, 0.1743, 0.6300)  1 S 1.49
O (0.6989, 0.5289, 0.1308)  1 P 1.55
O (0.7074, 0.1785, 0.5270)  1 S 1.48
O (0.7742, 0.8131, 0.6970)  1 S 1.48
O (0.7745, 0.9608, 0.1955)  1 P 1.54
O (0.8162, 0.7656, 0.7938)  1 S 1.48
O (0.8157, 0.8158, 0.4060)  1 S 1.48
O (0.8199, 0.0521, 0.2967)  1 P 1.53
O (0.8214, 0.0128, 0.9038)  1 P 1.54
O (0.8524, 0.5290, 0.5240)  1 P 1.55
O (0.8538, 0.0691, 0.5790)  1 S 1.48
O (0.8574, 0.5292, 0.6312)  1 P 1.57
O (0.8572, 0.7997, 0.0768)  1 P 1.55
O (0.8613, 0.3372, 0.1313)  1 P 1.54
O (0.8677, 0.3450, 0.0246)  1 P 1.57
O (0.8805, 0.3577, 0.7316)  1 S 1.50
O (0.8839, 0.5312, 0.2335)  1 S 1.48
O (0.8870, 0.5099, 0.9193)  1 P 1.55
O (0.8902, 0.3875, 0.4198)  1 S 1.50
O (0.9657, 0.7995, 0.5774)  1 P 1.55
O (0.9803, 0.1858, 0.0759)  1 P 1.55
O (0.9798, 0.2198, 0.7938)  1 S 1.48
O (0.9876, 0.7688, 0.2952)  1 S 1.48

Properties
crystal system: triclinic
SG: P1, No. 1
energy of formation: -281 kJ/mol of atoms
density: 3.511 Mg/m³
volume: 16.6 Å³/atom

=====

(6)
A relaxed structure of Sm3In. Source: the Materials Project, functional GGA-PBE.

Lattice parameters (Å, degrees): 7.0759 7.0759 5.5379 90.00 90.00 120.00
Closest atoms and distances in Å follow each position.
Positions (direct):
Sm (0.1744, 0.3489, 0.2500)  8 Sm 3.37-3.70, 4 In 3.39-3.54
Sm (0.1744, 0.8256, 0.2500)  8 Sm 3.37-3.70, 4 In 3.39-3.54
Sm (0.3489, 0.1744, 0.7500)  8 Sm 3.37-3.70, 4 In 3.39-3.54
Sm (0.6511, 0.8256, 0.2500)  8 Sm 3.37-3.70, 4 In 3.39-3.54
Sm (0.8256, 0.1744, 0.7500)  8 Sm 3.37-3.70, 4 In 3.39-3.54
Sm (0.8256, 0.6511, 0.7500)  8 Sm 3.37-3.70, 4 In 3.39-3.54
In (0.3333, 0.6667, 0.7500)  12 Sm 3.39-3.54
In (0.6667, 0.3333, 0.2500)  12 Sm 3.39-3.54

Properties
crystal system: hexagonal
SG: P6_3/mmc, No. 194
energy of formation: -25 kJ/mol of atoms
density: 7.827 Mg/m³
volume: 30.0 Å³/atom

=====

(7)
A relaxed structure of RbV5S8. Source: the Materials Project, functional GGA-PBE.

Lattice parameters (Å, degrees): 9.0499 9.0499 8.5459 104.09 104.09 20.96
Closest atoms and distances in Å follow each position.
Positions (direct):
Rb (0.0000, 0.0000, 0.0000)  10 S 3.25-3.34, 2 Rb 3.29
V (0.1490, 0.1490, 0.4979)  5 S 2.27-2.47
V (0.2109, 0.2109, 0.8558)  6 S 2.28-2.54
V (0.5000, 0.5000, 0.5000)  6 S 2.40-2.42
V (0.7891, 0.7891, 0.1442)  6 S 2.28-2.54
V (0.8510, 0.8510, 0.5021)  5 S 2.27-2.47
S (0.0740, 0.0740, 0.6769)  4 V 2.27-2.54
S (0.2608, 0.2608, 0.3401)  5 V 2.47-2.67
S (0.3375, 0.3375, 0.9996)  3 V 2.28-2.35
S (0.4133, 0.4133, 0.6776)  3 V 2.32-2.42
S (0.5867, 0.5867, 0.3224)  3 V 2.32-2.42
S (0.6625, 0.6625, 0.0004)  3 V 2.28-2.35
S (0.7392, 0.7392, 0.6599)  5 V 2.47-2.67
S (0.9260, 0.9260, 0.3231)  4 V 2.27-2.54

Properties
crystal system: monoclinic
SG: C2/m, No. 12
energy of formation: -124 kJ/mol of atoms
density: 4.085 Mg/m³
volume: 17.3 Å³/atom

=====

(8)
A relaxed structure of ErZnPd. Source: the Materials Project, functional GGA-PBE.

Lattice parameters (Å, degrees): 7.3194 7.3194 3.7894 90.00 90.00 120.00
Closest atoms and distances in Å follow each position.
Positions (direct):
Er (0.0000, 0.4057, 0.0000)  5 Pd 2.92-2.97, 6 Zn 3.13-3.22
Er (0.4057, 0.0000, 0.0000)  5 Pd 2.92-2.97, 6 Zn 3.13-3.22
Er (0.5943, 0.5943, 0.0000)  5 Pd 2.92-2.97, 6 Zn 3.13-3.22
Zn (0.0000, 0.7465, 0.5000)  4 Pd 2.65-2.78
Zn (0.2535, 0.2535, 0.5000)  4 Pd 2.65-2.78
Zn (0.7465, 0.0000, 0.5000)  4 Pd 2.65-2.78
Pd (0.0000, 0.0000, 0.0000)  6 Zn 2.65, 3 Er 2.97
Pd (0.3333, 0.6667, 0.5000)  3 Zn 2.78, 6 Er 2.92
Pd (0.6667, 0.3333, 0.5000)  3 Zn 2.78, 6 Er 2.92

Properties
crystal system: hexagonal
SG: P-62m, No. 189
energy of formation: -74 kJ/mol of atoms
density: 9.608 Mg/m³
volume: 19.5 Å³/atom

=====

> Which value of energy of formation does entry 8 give?

-74 kJ/mol of atoms

=====

> density of number 4 (CeAlCo)?

7.218 Mg/m³

=====

> Which of these has the highest volume?

Sm3In